1.
DFT (PBE) results for an optimized crystal structure of Y4Si2NO8.

abc: 7.707 10.481 10.866
angles: 90.00 109.56 90.00
Element x y z (fractional)
Y (0.018, 0.104, 0.281)
Y (0.018, 0.396, 0.781)
Y (0.169, 0.619, 0.567)
Y (0.169, 0.881, 0.067)
Y (0.341, 0.122, 0.922)
Y (0.341, 0.378, 0.422)
Y (0.476, 0.583, 0.188)
Y (0.476, 0.917, 0.688)
Y (0.524, 0.083, 0.312)
Y (0.524, 0.417, 0.812)
Y (0.659, 0.622, 0.578)
Y (0.659, 0.878, 0.078)
Y (0.831, 0.119, 0.933)
Y (0.831, 0.381, 0.433)
Y (0.982, 0.604, 0.219)
Y (0.982, 0.896, 0.719)
Si (0.149, 0.183, 0.621)
Si (0.149, 0.317, 0.121)
Si (0.265, 0.687, 0.868)
Si (0.265, 0.813, 0.368)
Si (0.735, 0.187, 0.632)
Si (0.735, 0.313, 0.132)
Si (0.851, 0.683, 0.879)
Si (0.851, 0.817, 0.379)
N (0.063, 0.733, 0.887)
N (0.063, 0.767, 0.387)
N (0.937, 0.233, 0.613)
N (0.937, 0.267, 0.113)
O (0.070, 0.023, 0.897)
O (0.070, 0.477, 0.397)
O (0.167, 0.212, 0.477)
O (0.167, 0.288, 0.977)
O (0.200, 0.034, 0.673)
O (0.200, 0.466, 0.173)
O (0.267, 0.538, 0.819)
O (0.267, 0.962, 0.319)
O (0.274, 0.726, 0.240)
O (0.274, 0.774, 0.740)
O (0.285, 0.228, 0.243)
O (0.285, 0.272, 0.743)
O (0.423, 0.726, 0.009)
O (0.423, 0.774, 0.509)
O (0.430, 0.000, 0.110)
O (0.430, 0.500, 0.610)
O (0.570, 0.000, 0.890)
O (0.570, 0.500, 0.390)
O (0.577, 0.226, 0.491)
O (0.577, 0.274, 0.991)
O (0.715, 0.728, 0.257)
O (0.715, 0.772, 0.757)
O (0.726, 0.226, 0.260)
O (0.726, 0.274, 0.760)
O (0.733, 0.038, 0.681)
O (0.733, 0.462, 0.181)
O (0.800, 0.534, 0.827)
O (0.800, 0.966, 0.327)
O (0.833, 0.712, 0.023)
O (0.833, 0.788, 0.523)
O (0.930, 0.523, 0.603)
O (0.930, 0.977, 0.103)

Properties
- V: 13.78 Å³ per atom
- Symmetry: P2_1/c
- Energy of formation from the pure elements: -3.37 eV per atom

---

2.
DFT (PBE) results for an optimized crystal structure of Si2TcOs.

abc: 5.928 5.928 5.928
angles: 90.00 90.00 90.00
Element x y z (fractional)
Si (0.250, 0.250, 0.250)
Si (0.250, 0.250, 0.750)
Si (0.250, 0.750, 0.250)
Si (0.250, 0.750, 0.750)
Si (0.750, 0.250, 0.250)
Si (0.750, 0.250, 0.750)
Si (0.750, 0.750, 0.250)
Si (0.750, 0.750, 0.750)
Tc (0.000, 0.000, 0.000)
Tc (0.000, 0.500, 0.500)
Tc (0.500, 0.000, 0.500)
Tc (0.500, 0.500, 0.000)
Os (0.000, 0.000, 0.500)
Os (0.000, 0.500, 0.000)
Os (0.500, 0.000, 0.000)
Os (0.500, 0.500, 0.500)

Properties
- V: 13.02 Å³ per atom
- Symmetry: Fm-3m
- Energy of formation from the pure elements: -0.42 eV per atom

---

3.
DFT (PBE) results for an optimized crystal structure of Na14Ti8Si11SO48.

abc: 8.977 15.540 21.913
angles: 89.94 89.95 89.99
Element x y z (fractional)
Na (0.000, 0.000, 0.000)
Na (0.000, 0.331, 0.667)
Na (0.001, 0.372, 0.000)
Na (0.002, 0.702, 0.666)
Na (0.124, 0.202, 0.166)
Na (0.128, 0.167, 0.832)
Na (0.128, 0.500, 0.499)
Na (0.128, 0.538, 0.834)
Na (0.132, 0.834, 0.166)
Na (0.132, 0.872, 0.500)
Na (0.181, 0.183, 0.500)
Na (0.184, 0.519, 0.167)
Na (0.301, 0.014, 0.414)
Na (0.308, 0.692, 0.752)
Na (0.311, 0.353, 0.081)
Na (0.311, 0.353, 0.585)
Na (0.324, 0.014, 0.914)
Na (0.325, 0.689, 0.252)
Na (0.438, 0.185, 0.999)
Na (0.438, 0.518, 0.667)
Na (0.492, 0.834, 0.666)
Na (0.492, 0.871, 0.000)
Na (0.498, 0.166, 0.333)
Na (0.498, 0.499, 0.998)
Na (0.499, 0.204, 0.666)
Na (0.623, 0.702, 0.166)
Na (0.626, 0.000, 0.499)
Na (0.626, 0.665, 0.834)
Na (0.631, 0.333, 0.166)
Na (0.631, 0.371, 0.500)
Na (0.680, 0.683, 0.500)
Na (0.681, 0.352, 0.831)
Na (0.683, 0.019, 0.167)
Na (0.801, 0.514, 0.413)
Na (0.805, 0.182, 0.750)
Na (0.813, 0.519, 0.916)
Na (0.813, 0.854, 0.084)
Na (0.813, 0.855, 0.582)
Na (0.825, 0.189, 0.253)
Na (0.946, 0.019, 0.666)
Na (0.947, 0.684, 0.000)
Na (0.998, 0.666, 0.333)
Ti (0.297, 0.017, 0.269)
Ti (0.310, 0.686, 0.103)
Ti (0.311, 0.689, 0.894)
Ti (0.312, 0.018, 0.063)
Ti (0.312, 0.019, 0.563)
Ti (0.313, 0.351, 0.935)
Ti (0.313, 0.685, 0.603)
Ti (0.315, 0.343, 0.228)
Ti (0.315, 0.350, 0.730)
Ti (0.323, 0.692, 0.397)
Ti (0.324, 0.346, 0.438)
Ti (0.328, 0.017, 0.768)
Ti (0.797, 0.517, 0.269)
Ti (0.801, 0.847, 0.939)
Ti (0.805, 0.188, 0.899)
Ti (0.809, 0.845, 0.727)
Ti (0.813, 0.185, 0.103)
Ti (0.813, 0.519, 0.563)
Ti (0.814, 0.518, 0.063)
Ti (0.814, 0.518, 0.770)
Ti (0.815, 0.185, 0.603)
Ti (0.815, 0.843, 0.228)
Ti (0.823, 0.192, 0.397)
Ti (0.824, 0.846, 0.438)
Si (0.021, 0.018, 0.165)
Si (0.023, 0.350, 0.833)
Si (0.028, 0.683, 0.498)
Si (0.100, 0.185, 0.998)
Si (0.102, 0.518, 0.666)
Si (0.107, 0.852, 0.333)
Si (0.165, 0.205, 0.333)
Si (0.168, 0.830, 0.999)
Si (0.169, 0.162, 0.668)
Si (0.169, 0.875, 0.667)
Si (0.170, 0.541, 0.999)
Si (0.455, 0.542, 0.499)
Si (0.456, 0.875, 0.167)
Si (0.457, 0.496, 0.833)
Si (0.458, 0.160, 0.168)
Si (0.458, 0.204, 0.833)
Si (0.459, 0.831, 0.501)
Si (0.520, 0.855, 0.833)
Si (0.521, 0.518, 0.165)
Si (0.528, 0.183, 0.498)
Si (0.598, 0.683, 0.999)
Si (0.604, 0.019, 0.664)
Si (0.607, 0.352, 0.333)
Si (0.665, 0.705, 0.333)
Si (0.667, 0.331, 0.001)
Si (0.667, 0.661, 0.666)
Si (0.669, 0.041, 0.000)
Si (0.669, 0.374, 0.666)
Si (0.955, 0.042, 0.499)
Si (0.957, 0.375, 0.167)
Si (0.958, 0.660, 0.168)
Si (0.959, 0.331, 0.501)
Si (0.960, 0.708, 0.833)
S (0.169, 0.495, 0.333)
S (0.669, 0.995, 0.333)
S (0.956, 0.995, 0.833)
O (0.000, 0.862, 0.394)
O (0.005, 0.505, 0.332)
O (0.119, 0.005, 0.832)
O (0.126, 0.000, 0.105)
O (0.131, 0.365, 0.893)
O (0.131, 0.668, 0.438)
O (0.132, 0.037, 0.223)
O (0.132, 0.335, 0.773)
O (0.133, 0.701, 0.558)
O (0.137, 0.032, 0.503)
O (0.138, 0.366, 0.172)
O (0.139, 0.341, 0.494)
O (0.139, 0.672, 0.163)
O (0.139, 0.696, 0.836)
O (0.192, 0.770, 0.061)
O (0.195, 0.101, 0.728)
O (0.195, 0.935, 0.605)
O (0.198, 0.602, 0.939)
O (0.200, 0.761, 0.336)
O (0.203, 0.264, 0.272)
O (0.205, 0.099, 0.003)
O (0.205, 0.271, 0.995)
O (0.205, 0.432, 0.670)
O (0.205, 0.605, 0.662)
O (0.206, 0.446, 0.389)
O (0.210, 0.938, 0.328)
O (0.225, 0.452, 0.277)
O (0.237, 0.582, 0.334)
O (0.241, 0.256, 0.392)
O (0.243, 0.779, 0.662)
O (0.245, 0.588, 0.059)
O (0.246, 0.115, 0.608)
O (0.246, 0.446, 0.996)
O (0.246, 0.925, 0.003)
O (0.247, 0.257, 0.671)
O (0.251, 0.782, 0.943)
O (0.253, 0.923, 0.723)
O (0.255, 0.113, 0.330)
O (0.371, 0.113, 0.829)
O (0.373, 0.925, 0.223)
O (0.375, 0.785, 0.443)
O (0.378, 0.116, 0.108)
O (0.378, 0.446, 0.494)
O (0.379, 0.585, 0.561)
O (0.380, 0.257, 0.171)
O (0.380, 0.591, 0.836)
O (0.380, 0.926, 0.504)
O (0.381, 0.780, 0.162)
O (0.382, 0.449, 0.773)
O (0.384, 0.253, 0.893)
O (0.415, 0.433, 0.172)
O (0.416, 0.940, 0.828)
O (0.418, 0.605, 0.161)
O (0.419, 0.099, 0.504)
O (0.421, 0.270, 0.495)
O (0.423, 0.608, 0.443)
O (0.426, 0.435, 0.893)
O (0.427, 0.764, 0.837)
O (0.429, 0.266, 0.773)
O (0.430, 0.101, 0.228)
O (0.430, 0.935, 0.105)
O (0.433, 0.769, 0.561)
O (0.485, 0.696, 0.338)
O (0.486, 0.338, 0.997)
O (0.486, 0.672, 0.663)
O (0.488, 0.032, 0.004)
O (0.488, 0.365, 0.670)
O (0.492, 0.340, 0.274)
O (0.493, 0.037, 0.723)
O (0.494, 0.702, 0.059)
O (0.496, 0.668, 0.939)
O (0.499, 0.000, 0.605)
O (0.500, 0.362, 0.394)
O (0.505, 0.004, 0.332)
O (0.627, 0.500, 0.105)
O (0.627, 0.864, 0.894)
O (0.631, 0.168, 0.438)
O (0.632, 0.538, 0.223)
O (0.634, 0.201, 0.558)
O (0.634, 0.842, 0.774)
O (0.637, 0.531, 0.504)
O (0.638, 0.172, 0.162)
O (0.638, 0.866, 0.172)
O (0.639, 0.504, 0.829)
O (0.639, 0.841, 0.494)
O (0.640, 0.199, 0.838)
O (0.699, 0.269, 0.060)
O (0.699, 0.436, 0.607)
O (0.699, 0.602, 0.726)
O (0.700, 0.261, 0.336)
O (0.702, 0.107, 0.943)
O (0.703, 0.764, 0.272)
O (0.705, 0.771, 0.996)
O (0.706, 0.945, 0.389)
O (0.707, 0.105, 0.661)
O (0.707, 0.599, 0.004)
O (0.710, 0.438, 0.328)
O (0.711, 0.934, 0.672)
O (0.726, 0.952, 0.277)
O (0.737, 0.082, 0.334)
O (0.741, 0.756, 0.392)
O (0.744, 0.758, 0.670)
O (0.745, 0.286, 0.940)
O (0.745, 0.420, 0.726)
O (0.745, 0.619, 0.606)
O (0.746, 0.084, 0.061)
O (0.746, 0.279, 0.662)
O (0.746, 0.425, 0.004)
O (0.747, 0.946, 0.994)
O (0.755, 0.613, 0.330)
O (0.873, 0.424, 0.223)
O (0.874, 0.286, 0.443)
O (0.878, 0.946, 0.493)
O (0.879, 0.084, 0.561)
O (0.879, 0.613, 0.830)
O (0.879, 0.617, 0.108)
O (0.880, 0.757, 0.171)
O (0.881, 0.426, 0.504)
O (0.882, 0.279, 0.163)
O (0.883, 0.757, 0.892)
O (0.887, 0.083, 0.835)
O (0.899, 0.953, 0.777)
O (0.915, 0.933, 0.172)
O (0.919, 0.105, 0.162)
O (0.919, 0.437, 0.829)
O (0.919, 0.599, 0.503)
O (0.919, 0.946, 0.889)
O (0.920, 0.263, 0.836)
O (0.921, 0.765, 0.772)
O (0.921, 0.771, 0.495)
O (0.923, 0.108, 0.443)
O (0.930, 0.435, 0.105)
O (0.930, 0.601, 0.228)
O (0.934, 0.269, 0.561)
O (0.985, 0.196, 0.338)
O (0.987, 0.171, 0.663)
O (0.987, 0.841, 0.993)
O (0.987, 0.867, 0.672)
O (0.988, 0.532, 0.004)
O (0.992, 0.840, 0.274)
O (0.993, 0.200, 0.058)
O (0.994, 0.170, 0.939)
O (0.994, 0.504, 0.607)
O (0.995, 0.534, 0.726)

Properties
- V: 12.43 Å³ per atom
- Symmetry: P1
- Energy of formation from the pure elements: -2.98 eV per atom